Entry 1:
LiO8 after structural relaxation, computed with PBE-GGA.

Lattice parameters (Å, degrees): 4.477 5.526 5.527 70.19 71.72 69.91
Sites, in units of the cell vectors:
Li 0.000 0.000 0.000
O 0.371 0.333 0.237
O 0.386 0.838 0.153
O 0.402 0.835 0.738
O 0.408 0.409 0.832
O 0.673 0.260 0.215
O 0.696 0.767 0.080
O 0.704 0.771 0.707
O 0.712 0.345 0.778

electronic total energy: -4.8785 eV per atom
energy relative to the elements: -0.4114 eV per atom

=====

Entry 2:
LiO8 after structural relaxation, computed with PBE-GGA.

Lattice parameters (Å, degrees): 5.087 5.087 5.022 118.33 118.33 73.63
Sites, in units of the cell vectors:
Li 0.000 0.000 0.000
O 0.076 0.046 0.655
O 0.434 0.459 0.348
O 0.484 0.011 0.340
O 0.541 0.566 0.652
O 0.585 0.129 0.650
O 0.871 0.415 0.350
O 0.954 0.924 0.345
O 0.989 0.516 0.660

electronic total energy: -4.8889 eV per atom
energy relative to the elements: -0.4217 eV per atom

=====

Entry 3:
Li2O after structural relaxation, computed with PBE-GGA.

Lattice parameters (Å, degrees): 9.598 10.080 10.381 91.65 91.68 93.01
Sites, in units of the cell vectors:
Li 0.000 0.000 0.000
Li 0.000 0.013 0.661
Li 0.029 0.938 0.237
Li 0.032 0.784 0.744
Li 0.063 0.945 0.454
Li 0.073 0.657 0.249
Li 0.085 0.265 0.816
Li 0.085 0.477 0.464
Li 0.089 0.490 0.681
Li 0.093 0.733 0.490
Li 0.121 0.225 0.516
Li 0.132 0.544 0.900
Li 0.136 0.325 0.112
Li 0.145 0.051 0.843
Li 0.183 0.120 0.304
Li 0.242 0.816 0.163
Li 0.251 0.135 0.052
Li 0.267 0.532 0.150
Li 0.273 0.351 0.303
Li 0.295 0.597 0.427
Li 0.299 0.923 0.374
Li 0.305 0.274 0.700
Li 0.305 0.555 0.717
Li 0.331 0.011 0.715
Li 0.338 0.107 0.547
Li 0.338 0.347 0.942
Li 0.340 0.755 0.624
Li 0.341 0.717 0.959
Li 0.387 0.974 0.044
Li 0.417 0.165 0.233
Li 0.470 0.166 0.846
Li 0.499 0.255 0.485
Li 0.505 0.396 0.095
Li 0.505 0.931 0.224
Li 0.509 0.475 0.331
Li 0.509 0.864 0.872
Li 0.516 0.799 0.462
Li 0.526 0.523 0.848
Li 0.564 0.655 0.652
Li 0.577 0.475 0.538
Li 0.590 0.680 0.063
Li 0.599 0.007 0.494
Li 0.616 0.682 0.309
Li 0.624 0.080 0.707
Li 0.627 0.163 0.010
Li 0.628 0.327 0.752
Li 0.648 0.951 0.054
Li 0.687 0.255 0.247
Li 0.730 0.373 0.965
Li 0.734 0.470 0.287
Li 0.751 0.994 0.253
Li 0.777 0.549 0.116
Li 0.786 0.620 0.833
Li 0.789 0.421 0.525
Li 0.810 0.869 0.938
Li 0.810 0.908 0.691
Li 0.830 0.093 0.848
Li 0.831 0.962 0.467
Li 0.834 0.767 0.158
Li 0.844 0.751 0.402
Li 0.868 0.229 0.666
Li 0.872 0.205 0.453
Li 0.874 0.441 0.746
Li 0.882 0.644 0.629
Li 0.921 0.284 0.993
Li 0.927 0.144 0.171
Li 0.963 0.454 0.245
Li 0.984 0.689 0.969
O 0.065 0.178 0.010
O 0.135 0.818 0.337
O 0.155 0.487 0.295
O 0.163 0.121 0.665
O 0.170 0.660 0.050
O 0.192 0.612 0.577
O 0.222 0.409 0.806
O 0.292 0.008 0.200
O 0.310 0.222 0.414
O 0.326 0.324 0.129
O 0.330 0.045 0.896
O 0.406 0.925 0.543
O 0.439 0.684 0.788
O 0.482 0.823 0.063
O 0.486 0.204 0.663
O 0.494 0.617 0.464
O 0.542 0.346 0.922
O 0.584 0.542 0.183
O 0.602 0.097 0.179
O 0.648 0.355 0.408
O 0.655 0.007 0.877
O 0.672 0.869 0.369
O 0.702 0.523 0.679
O 0.778 0.685 0.995
O 0.781 0.071 0.599
O 0.830 0.347 0.138
O 0.837 0.286 0.832
O 0.869 0.618 0.281
O 0.870 0.946 0.118
O 0.937 0.823 0.563
O 0.960 0.939 0.827
O 0.964 0.360 0.563
O 0.978 0.606 0.792
O 0.983 0.087 0.358

electronic total energy: -4.5927 eV per atom
energy relative to the elements: -1.8997 eV per atom

=====

Entry 4:
Li2O after structural relaxation, computed with PBE-GGA.

Lattice parameters (Å, degrees): 9.371 10.400 10.728 86.40 89.06 89.35
Sites, in units of the cell vectors:
Li 0.000 0.000 0.000
Li 0.000 0.320 0.362
Li 0.002 0.701 0.759
Li 0.006 0.559 0.603
Li 0.026 0.791 0.397
Li 0.047 0.902 0.654
Li 0.067 0.221 0.966
Li 0.081 0.295 0.580
Li 0.112 0.481 0.164
Li 0.113 0.039 0.244
Li 0.176 0.469 0.453
Li 0.184 0.115 0.439
Li 0.194 0.013 0.789
Li 0.195 0.684 0.594
Li 0.205 0.388 0.727
Li 0.213 0.754 0.825
Li 0.250 0.527 0.890
Li 0.254 0.917 0.099
Li 0.265 0.691 0.303
Li 0.279 0.183 0.163
Li 0.288 0.328 0.973
Li 0.311 0.154 0.646
Li 0.325 0.912 0.315
Li 0.357 0.573 0.716
Li 0.361 0.076 0.960
Li 0.385 0.408 0.211
Li 0.391 0.473 0.426
Li 0.392 0.226 0.436
Li 0.429 0.731 0.004
Li 0.444 0.362 0.647
Li 0.460 0.751 0.479
Li 0.486 0.933 0.846
Li 0.488 0.067 0.153
Li 0.500 0.255 0.872
Li 0.502 0.608 0.255
Li 0.510 0.434 0.996
Li 0.521 0.766 0.709
Li 0.533 0.054 0.367
Li 0.551 0.814 0.156
Li 0.556 0.253 0.265
Li 0.580 0.575 0.549
Li 0.606 0.137 0.657
Li 0.610 0.443 0.786
Li 0.625 0.347 0.468
Li 0.634 0.690 0.906
Li 0.665 0.899 0.975
Li 0.666 0.794 0.367
Li 0.671 0.232 0.062
Li 0.691 0.480 0.204
Li 0.693 0.915 0.621
Li 0.750 0.517 0.991
Li 0.761 0.129 0.460
Li 0.765 0.712 0.718
Li 0.779 0.024 0.115
Li 0.786 0.690 0.153
Li 0.828 0.720 0.497
Li 0.832 0.267 0.874
Li 0.836 0.959 0.783
Li 0.838 0.376 0.622
Li 0.858 0.161 0.228
Li 0.895 0.789 0.924
Li 0.913 0.555 0.333
Li 0.925 0.351 0.071
Li 0.960 0.824 0.200
Li 0.973 0.048 0.511
Li 0.974 0.138 0.699
Li 0.981 0.567 0.003
Li 0.999 0.464 0.828
O 0.000 0.749 0.576
O 0.048 0.877 0.832
O 0.110 0.419 0.995
O 0.137 0.063 0.613
O 0.144 0.578 0.743
O 0.150 0.850 0.256
O 0.182 0.084 0.041
O 0.246 0.511 0.284
O 0.280 0.322 0.548
O 0.334 0.094 0.315
O 0.364 0.611 0.537
O 0.390 0.408 0.824
O 0.401 0.706 0.838
O 0.426 0.103 0.788
O 0.436 0.274 0.090
O 0.463 0.922 0.033
O 0.472 0.785 0.311
O 0.549 0.428 0.318
O 0.571 0.169 0.485
O 0.592 0.629 0.083
O 0.641 0.418 0.622
O 0.643 0.753 0.561
O 0.663 0.106 0.227
O 0.673 0.854 0.805
O 0.680 0.365 0.933
O 0.819 0.054 0.628
O 0.836 0.866 0.065
O 0.848 0.730 0.324
O 0.854 0.622 0.866
O 0.881 0.171 0.037
O 0.887 0.503 0.158
O 0.975 0.439 0.482
O 0.987 0.304 0.749
O 0.989 0.142 0.358

electronic total energy: -4.5813 eV per atom
energy relative to the elements: -1.8884 eV per atom

=====

Entry 5:
LiO8 after structural relaxation, computed with PBE-GGA.

Lattice parameters (Å, degrees): 4.626 5.270 5.651 103.25 108.53 110.65
Sites, in units of the cell vectors:
Li 0.000 0.000 0.000
O 0.122 0.227 0.603
O 0.139 0.632 0.610
O 0.418 0.953 0.200
O 0.507 0.405 0.264
O 0.642 0.998 0.109
O 0.735 0.440 0.184
O 0.901 0.173 0.692
O 0.919 0.602 0.699

electronic total energy: -4.8774 eV per atom
energy relative to the elements: -0.4103 eV per atom

=====

Entry 6:
LiO8 after structural relaxation, computed with PBE-GGA.

Lattice parameters (Å, degrees): 5.674 5.674 4.649 110.77 110.77 68.88
Sites, in units of the cell vectors:
Li 0.000 0.000 0.000
O 0.189 0.189 0.852
O 0.253 0.253 0.151
O 0.275 0.661 0.848
O 0.339 0.725 0.152
O 0.661 0.275 0.848
O 0.725 0.339 0.152
O 0.747 0.747 0.849
O 0.811 0.811 0.148

electronic total energy: -4.8242 eV per atom
energy relative to the elements: -0.3570 eV per atom

=====

Entry 7:
Li5OsO6 after structural relaxation, computed with PBE-GGA.

Lattice parameters (Å, degrees): 5.110 5.110 5.046 99.55 99.55 120.32
Sites, in units of the cell vectors:
Li 0.000 0.000 0.000
Li 0.170 0.830 0.500
Li 0.318 0.682 0.000
Li 0.682 0.318 0.000
Li 0.830 0.170 0.500
Os 0.500 0.500 0.500
O 0.114 0.422 0.265
O 0.271 0.271 0.728
O 0.422 0.114 0.265
O 0.578 0.886 0.735
O 0.729 0.729 0.272
O 0.886 0.578 0.735

electronic total energy: -5.9081 eV per atom
energy relative to the elements: -2.0467 eV per atom

=====

Entry 8:
Li2OsO6 after structural relaxation, computed with PBE-GGA.

Lattice parameters (Å, degrees): 6.844 6.844 5.161 102.90 102.90 87.13
Sites, in units of the cell vectors:
Li 0.000 0.500 0.500
Li 0.046 0.954 0.750
Li 0.500 0.000 0.000
Li 0.954 0.046 0.250
Os 0.287 0.713 0.250
Os 0.713 0.287 0.750
O 0.019 0.775 0.373
O 0.137 0.668 0.903
O 0.225 0.981 0.127
O 0.275 0.470 0.301
O 0.332 0.863 0.597
O 0.470 0.275 0.801
O 0.530 0.725 0.199
O 0.668 0.137 0.403
O 0.725 0.530 0.699
O 0.775 0.019 0.873
O 0.863 0.332 0.097
O 0.981 0.225 0.627

electronic total energy: -5.9428 eV per atom
energy relative to the elements: -1.4305 eV per atom

=====

Entry 9:
Li5OsO6 after structural relaxation, computed with PBE-GGA.

Lattice parameters (Å, degrees): 5.102 5.102 14.309 90.00 90.00 120.00
Sites, in units of the cell vectors:
Li 0.198 0.099 0.000
Li 0.222 0.111 0.500
Li 0.222 0.444 0.167
Li 0.222 0.444 0.667
Li 0.222 0.778 0.333
Li 0.222 0.778 0.833
Li 0.543 0.086 0.667
Li 0.543 0.457 0.333
Li 0.556 0.778 0.000
Li 0.556 0.778 0.500
Li 0.889 0.111 0.833
Li 0.889 0.778 0.167
Li 0.901 0.099 0.333
Li 0.901 0.802 0.667
Li 0.914 0.457 0.000
Os 0.557 0.114 0.167
Os 0.557 0.443 0.833
Os 0.886 0.443 0.500
O 0.195 0.445 0.422
O 0.195 0.751 0.578
O 0.248 0.110 0.245
O 0.248 0.138 0.755
O 0.249 0.445 0.911
O 0.249 0.805 0.089
O 0.555 0.140 0.910
O 0.555 0.415 0.090
O 0.555 0.751 0.756
O 0.555 0.805 0.244
O 0.585 0.140 0.423
O 0.585 0.445 0.577
O 0.860 0.415 0.243
O 0.860 0.445 0.757
O 0.862 0.110 0.089
O 0.862 0.752 0.911
O 0.890 0.138 0.578
O 0.890 0.752 0.422

electronic total energy: -5.9083 eV per atom
energy relative to the elements: -2.0468 eV per atom

=====

Entry 10:
LiPr2OsO6 after structural relaxation, computed with PBE-GGA.

Lattice parameters (Å, degrees): 5.514 5.855 9.556 90.00 124.75 90.00
Sites, in units of the cell vectors:
Li 0.000 0.000 0.000
Li 0.000 0.500 0.500
Pr 0.232 0.068 0.749
Pr 0.232 0.432 0.249
Pr 0.768 0.568 0.751
Pr 0.768 0.932 0.251
Os 0.500 0.000 0.500
Os 0.500 0.500 0.000
O 0.159 0.187 0.453
O 0.159 0.313 0.953
O 0.265 0.713 0.447
O 0.265 0.787 0.947
O 0.353 0.031 0.257
O 0.353 0.469 0.757
O 0.647 0.531 0.243
O 0.647 0.969 0.743
O 0.735 0.213 0.053
O 0.735 0.287 0.553
O 0.841 0.687 0.047
O 0.841 0.813 0.547

electronic total energy: -7.6302 eV per atom
energy relative to the elements: -2.8038 eV per atom

=====

Entry 11:
Rb2LiOs2O6 after structural relaxation, computed with PBE-GGA.

Lattice parameters (Å, degrees): 7.151 7.151 7.151 45.23 45.23 45.23
Sites, in units of the cell vectors:
Rb 0.155 0.155 0.155
Rb 0.845 0.845 0.845
Li 0.000 0.000 0.000
Os 0.335 0.335 0.335
Os 0.665 0.665 0.665
O 0.050 0.431 0.679
O 0.321 0.950 0.569
O 0.431 0.679 0.050
O 0.569 0.321 0.950
O 0.679 0.050 0.431
O 0.950 0.569 0.321

electronic total energy: -6.2957 eV per atom
energy relative to the elements: -1.5784 eV per atom

=====

Entry 12:
Rb2LiOs2O6 after structural relaxation, computed with PBE-GGA.

Lattice parameters (Å, degrees): 5.656 5.657 6.455 64.05 64.09 60.03
Sites, in units of the cell vectors:
Rb 0.121 0.122 0.135
Rb 0.879 0.878 0.865
Li 0.500 0.500 0.000
Os 0.331 0.331 0.506
Os 0.669 0.669 0.494
O 0.077 0.613 0.291
O 0.387 0.482 0.709
O 0.482 0.923 0.709
O 0.518 0.077 0.291
O 0.613 0.518 0.291
O 0.923 0.387 0.709

electronic total energy: -6.2822 eV per atom
energy relative to the elements: -1.5649 eV per atom